Below is a relaxed structure of Ga23N5O27, with properties calculated at the PBE level.

Output
Uncorrected energy: -5.99 eV/atom
Spin magnetization: 0.00 μB/f.u.
V: 10.746 Å³ per atom
Theoretical density: 5916 kg/m³
DFT formation energy: -1876 meV per atom

CIF file:
```
data_Ga23N5O27
_cell_length_a 5.9181
_cell_length_b 5.9253
_cell_length_c 19.6185
_cell_angle_alpha 81.76
_cell_angle_beta 82.17
_cell_angle_gamma 60.53
_symmetry_space_group_name_H-M 'P 1'
_symmetry_Int_Tables_number 1
_symmetry_space_group_name_Hall 'P 1'
loop_
_atom_site_label
_atom_site_fract_x
_atom_site_fract_y
_atom_site_fract_z
_atom_site_occupancy
Ga1 0.0000 0.0000 0.0000 1
Ga2 0.0033 0.0042 0.4971 1
Ga3 0.0133 0.5206 0.4095 1
Ga4 0.1253 0.5949 0.1181 1
Ga5 0.2267 0.7235 0.8489 1
Ga6 0.2427 0.2544 0.7483 1
Ga7 0.2462 0.7457 0.2438 1
Ga8 0.2478 0.2562 0.2460 1
Ga9 0.2554 0.7887 0.6585 1
Ga10 0.3751 0.8796 0.3770 1
Ga11 0.4789 0.9679 0.0893 1
Ga12 0.4967 0.9979 0.4943 1
Ga13 0.4993 0.4975 0.9983 1
Ga14 0.5018 0.5055 0.4976 1
Ga15 0.5198 0.0281 0.9058 1
Ga16 0.6311 0.1207 0.6255 1
Ga17 0.7209 0.2203 0.3409 1
Ga18 0.7468 0.2862 0.1512 1
Ga19 0.7482 0.7495 0.2471 1
Ga20 0.7583 0.7460 0.7458 1
Ga21 0.7605 0.2471 0.7469 1
Ga22 0.8857 0.3892 0.8801 1
Ga23 0.9697 0.4696 0.5970 1
N1 0.1913 0.1618 0.4389 1
N2 0.3903 0.4557 0.1877 1
N3 0.6563 0.6955 0.4392 1
N4 0.9006 0.9536 0.6900 1
N5 0.9357 0.4354 0.6944 1
O1 0.0509 0.5663 0.3066 1
O2 0.0535 0.0845 0.8124 1
O3 0.0592 0.5573 0.8137 1
O4 0.0851 0.0505 0.3072 1
O5 0.1693 0.1777 0.9359 1
O6 0.1866 0.6907 0.4387 1
O7 0.1919 0.6948 0.9437 1
O8 0.3066 0.8024 0.0602 1
O9 0.3075 0.8090 0.5592 1
O10 0.3220 0.3174 0.0602 1
O11 0.3416 0.3018 0.5592 1
O12 0.4308 0.9344 0.1928 1
O13 0.4365 0.9485 0.6873 1
O14 0.4375 0.4234 0.6883 1
O15 0.5488 0.5845 0.3088 1
O16 0.5533 0.0542 0.3084 1
O17 0.5534 0.0713 0.8052 1
O18 0.5852 0.5537 0.8099 1
O19 0.6727 0.6747 0.9345 1
O20 0.6837 0.1863 0.4396 1
O21 0.6938 0.1945 0.9369 1
O22 0.8011 0.3033 0.0560 1
O23 0.8015 0.3048 0.5601 1
O24 0.8033 0.8371 0.5573 1
O25 0.8340 0.8171 0.0658 1
O26 0.9259 0.4441 0.1889 1
O27 0.9270 0.9286 0.1920 1
```

---

Below is a relaxed structure of Ga3NO3, with properties calculated at the PBE level.

Output
Uncorrected energy: -6.03 eV/atom
E above lowest polymorph: 0.00 eV/f.u.
Spin magnetization: 0.00 μB/f.u.
V: 13.354 Å³ per atom
Theoretical density: 4817 kg/m³
DFT formation energy: -1713 meV per atom

CIF file:
```
data_Ga3NO3
_cell_length_a 8.1279
_cell_length_b 6.4099
_cell_length_c 8.2297
_cell_angle_alpha 90.00
_cell_angle_beta 119.30
_cell_angle_gamma 90.00
_symmetry_space_group_name_H-M 'P 1 m 1'
_symmetry_Int_Tables_number 6
_symmetry_space_group_name_Hall 'P -2y'
loop_
_atom_site_label
_atom_site_fract_x
_atom_site_fract_y
_atom_site_fract_z
_atom_site_occupancy
Ga1 0.0000 0.0000 0.0000 1
Ga2 0.0072 0.5000 0.0115 1
Ga3 0.1695 0.2425 0.7681 1
Ga4 0.2446 0.2570 0.4134 1
Ga5 0.5761 0.0000 0.9524 1
Ga6 0.5853 0.5000 0.9463 1
Ga7 0.6401 0.5000 0.5748 1
Ga8 0.6518 0.0000 0.5834 1
Ga9 0.8104 0.2502 0.3319 1
N1 0.1058 0.0000 0.8459 1
N2 0.3825 0.5000 0.4702 1
N3 0.7421 0.0000 0.2041 1
N4 0.7441 0.5000 0.2017 1
O1 0.0769 0.2484 0.1463 1
O2 0.0773 0.2493 0.5091 1
O3 0.1174 0.5000 0.8519 1
O4 0.3806 0.0000 0.4656 1
O5 0.4360 0.2524 0.8537 1
O6 0.7270 0.2492 0.5202 1
O7 0.7337 0.0000 0.8392 1
O8 0.7499 0.5000 0.8396 1
```

---

Below is a relaxed structure of Ga3NO3, with properties calculated at the PBE level.

Output
Uncorrected energy: -6.01 eV/atom
E above lowest polymorph: 0.12 eV/f.u.
Spin magnetization: 0.00 μB/f.u.
V: 13.425 Å³ per atom
Theoretical density: 4792 kg/m³
DFT formation energy: -1697 meV per atom

CIF file:
```
data_Ga3NO3
_cell_length_a 6.1400
_cell_length_b 8.3946
_cell_length_c 8.4004
_cell_angle_alpha 119.74
_cell_angle_beta 90.55
_cell_angle_gamma 90.29
_symmetry_space_group_name_H-M 'P 1'
_symmetry_Int_Tables_number 1
_symmetry_space_group_name_Hall 'P 1'
loop_
_atom_site_label
_atom_site_fract_x
_atom_site_fract_y
_atom_site_fract_z
_atom_site_occupancy
Ga1 0.0000 0.0000 0.0000 1
Ga2 0.0018 0.5712 0.9201 1
Ga3 0.1793 0.1768 0.7593 1
Ga4 0.1845 0.8225 0.3308 1
Ga5 0.1991 0.2311 0.4034 1
Ga6 0.4825 0.9163 0.0902 1
Ga7 0.4844 0.4883 0.7486 1
Ga8 0.4910 0.8291 0.6624 1
Ga9 0.6925 0.3107 0.3136 1
Ga10 0.6995 0.6533 0.2472 1
Ga11 0.7031 0.2409 0.8996 1
Ga12 0.9881 0.6606 0.5803 1
N1 0.2302 0.4157 0.8063 1
N2 0.2400 0.0628 0.1554 1
N3 0.9479 0.0959 0.8446 1
N4 0.9589 0.6998 0.1716 1
O1 0.1577 0.0717 0.4985 1
O2 0.2365 0.7419 0.5121 1
O3 0.4611 0.0817 0.7812 1
O4 0.4664 0.7829 0.2211 1
O5 0.4732 0.3666 0.4854 1
O6 0.5021 0.7456 0.8324 1
O7 0.6286 0.3999 0.1529 1
O8 0.7223 0.7171 0.5019 1
O9 0.7345 0.4220 0.8277 1
O10 0.7398 0.0600 0.1551 1
O11 0.9653 0.3999 0.4396 1
O12 0.9842 0.7386 0.8273 1
```

---

Below is a relaxed structure of Ga3NO3, with properties calculated at the PBE level.

Output
Uncorrected energy: -6.01 eV/atom
E above lowest polymorph: 0.12 eV/f.u.
Spin magnetization: 0.00 μB/f.u.
V: 13.462 Å³ per atom
Theoretical density: 4778 kg/m³
DFT formation energy: -1697 meV per atom

CIF file:
```
data_Ga3NO3
_cell_length_a 6.1419
_cell_length_b 8.3840
_cell_length_c 8.3976
_cell_angle_alpha 119.34
_cell_angle_beta 90.30
_cell_angle_gamma 90.29
_symmetry_space_group_name_H-M 'P 1'
_symmetry_Int_Tables_number 1
_symmetry_space_group_name_Hall 'P 1'
loop_
_atom_site_label
_atom_site_fract_x
_atom_site_fract_y
_atom_site_fract_z
_atom_site_occupancy
Ga1 0.0000 0.0000 0.0000 1
Ga2 0.9998 0.4240 0.3432 1
Ga3 0.2921 0.7335 0.3336 1
Ga4 0.2946 0.6699 0.6736 1
Ga5 0.3060 0.0961 0.7524 1
Ga6 0.4814 0.3373 0.1675 1
Ga7 0.5001 0.9158 0.0823 1
Ga8 0.5046 0.2561 0.5130 1
Ga9 0.7795 0.5828 0.7620 1
Ga10 0.7813 0.2374 0.8204 1
Ga11 0.7977 0.6528 0.1733 1
Ga12 0.9858 0.0827 0.4288 1
N1 0.2456 0.4905 0.2644 1
N2 0.5136 0.5116 0.6445 1
N3 0.5328 0.1923 0.9193 1
N4 0.7484 0.1637 0.5737 1
O1 0.0114 0.5599 0.6053 1
O2 0.0265 0.1209 0.8657 1
O3 0.0260 0.8237 0.2857 1
O4 0.2503 0.8499 0.9332 1
O5 0.2524 0.1499 0.5591 1
O6 0.3234 0.8413 0.5898 1
O7 0.4900 0.1611 0.2541 1
O8 0.5253 0.7772 0.2069 1
O9 0.7456 0.4914 0.2644 1
O10 0.7617 0.8414 0.9480 1
O11 0.8583 0.4986 0.9278 1
O12 0.9927 0.1651 0.2516 1
```

---

- Look up the DFT formation energy of the second one.
  -1713 meV per atom

---

- Which of these has the lowest uncorrected energy?
  number 2